Compound: Gd4Cu5P7
Source: Materials Project
Functional: GGA-PBE
Structure: optimized geometry

```
Gd4Cu5P7
1.0
-2.638 2.638 9.838
2.638 -2.638 9.838
2.638 2.638 -9.838
Gd Cu P
4 5 7
Cartesian
-1.286 1.286 7.525
1.286 -1.286 7.525
1.351 1.351 2.313
1.286 1.286 12.151
0.000 0.000 14.752
0.000 0.000 4.925
2.638 0.000 4.919
0.000 2.638 4.919
0.000 0.000 0.000
1.335 -1.335 13.240
-1.335 1.335 13.240
1.335 1.335 6.436
1.303 1.303 -3.402
0.000 0.000 9.838
0.000 2.638 0.000
2.638 0.000 0.000
```

Calculated volume in Å³/cell: 274
Total DFT energy (no corrections) in eV per formula unit: -127.57
Calculated density in g cm⁻³: 7.056
Total magnetic moment in μB per formula unit: 27.82
ΔH_f (0 K) in meV per atom: -805

=====

Compound: PmGdCu2
Source: Materials Project
Functional: GGA-PBE
Structure: optimized geometry

```
PmGdCu2
1.0
4.325 -2.207 1.404
1.654 0.476 4.752
-0.089 -3.978 3.117
Pm Gd Cu
1 1 2
Cartesian
0.000 0.000 0.000
2.945 -2.855 4.636
4.417 -4.282 6.954
1.472 -1.427 2.318
```

Calculated volume in Å³/cell: 91
Total DFT energy (no corrections) in eV per formula unit: -27.74
Calculated density in g cm⁻³: 7.809
ΔH_f (0 K) in meV per atom: -179

=====

Compound: GdCu3S3
Source: Materials Project
Functional: GGA-PBE
Structure: optimized geometry

```
GdCu3S3
1.0
-3.030 6.367 2.668
-7.264 1.188 1.629
-2.961 1.047 6.854
Gd Cu S
2 6 6
Cartesian
-8.836 5.734 7.433
-4.419 2.868 3.717
-6.086 5.700 3.700
-4.624 3.890 6.834
-7.466 2.205 4.756
-5.789 6.397 6.395
-8.631 4.711 4.316
-7.169 2.901 7.450
-9.134 3.278 6.151
-6.282 4.967 8.239
-7.747 6.786 5.095
-5.508 1.816 6.056
-6.973 3.635 2.912
-4.121 5.323 4.999
```

E (MP2020) in eV per atom: -6.62
Calculated volume in Å³/cell: 256
Total DFT energy (no corrections) in eV per formula unit: -44.80
Calculated density in g cm⁻³: 5.764
ΔH_f (0 K) in meV per atom: -1076

=====

Compound: GdCuS2
Source: Materials Project
Functional: GGA-PBE
Structure: optimized geometry

```
GdCuS2
1.0
-2.805 0.435 6.472
5.360 -2.557 2.495
3.358 5.781 1.066
Gd Cu S
4 4 8
Cartesian
4.352 2.991 9.015
2.119 3.733 4.138
1.561 0.669 1.019
3.794 -0.073 5.895
1.721 2.541 7.090
5.342 4.091 4.696
4.192 1.119 2.943
0.571 -0.431 5.337
2.073 0.734 3.811
1.411 0.151 7.422
3.841 2.925 6.222
4.503 3.508 2.611
-0.069 3.042 5.730
7.534 3.529 5.133
5.983 0.618 4.303
-1.620 0.131 4.900
```

E (MP2020) in eV per atom: -8.25
Calculated volume in Å³/cell: 305
Total DFT energy (no corrections) in eV per formula unit: -32.00
Calculated density in g cm⁻³: 6.197
ΔH_f (0 K) in meV per atom: -1639

=====

Compound: Gd3CuSiS7
Source: Materials Project
Functional: GGA-PBE
Structure: optimized geometry

```
Gd3CuSiS7
1.0
0.000 0.000 -5.725
-5.002 -8.664 0.000
-5.002 8.664 0.000
Gd Cu Si S
6 2 2 14
Cartesian
-4.482 -5.570 -1.431
-7.585 -1.997 -1.431
-2.940 -1.097 -1.431
-5.522 5.571 -4.293
-2.420 1.997 -4.293
-7.065 1.097 -4.293
-5.002 8.664 -1.225
-5.002 -8.664 -4.088
-5.002 2.888 -1.930
-5.002 -2.888 -4.793
-5.003 2.888 -5.545
-5.002 -2.888 -2.682
-6.534 -4.127 -5.635
-5.310 -0.942 -5.635
-3.163 -3.595 -5.635
-3.471 4.127 -2.773
-4.695 0.942 -2.773
-6.842 3.595 -2.773
-4.632 -6.448 -4.183
-8.271 -1.429 -4.183
-2.105 -0.787 -4.183
-5.373 6.448 -1.320
-1.734 1.429 -1.320
-7.900 0.787 -1.320
```

E (MP2020) in eV per atom: -8.56
Calculated volume in Å³/cell: 496
Total DFT energy (no corrections) in eV per formula unit: -99.20
Calculated density in g cm⁻³: 5.273
Total magnetic moment in μB per formula unit: 7.00
ΔH_f (0 K) in meV per atom: -1834

=====

Compound: Gd3CuSnS7
Source: Materials Project
Functional: GGA-PBE
Structure: optimized geometry

```
Gd3CuSnS7
1.0
4.947 -8.568 0.000
4.947 8.568 0.000
0.000 0.000 6.226
Gd Cu Sn S
6 2 2 14
Cartesian
7.420 1.862 4.779
2.473 -1.862 1.666
2.849 1.211 4.779
7.045 -1.211 1.666
5.322 -5.496 1.666
4.572 5.496 4.779
0.000 0.000 1.042
0.000 0.000 4.155
4.947 -2.856 5.193
4.947 2.856 2.080
5.206 0.724 3.198
2.971 3.697 3.198
6.923 -3.697 0.084
4.947 -2.856 2.798
5.167 -6.353 4.338
3.230 -4.147 0.084
4.947 2.856 5.911
6.663 4.147 3.198
1.808 -1.298 4.338
2.029 0.917 1.225
8.086 1.298 1.225
4.687 -0.724 0.084
4.727 6.353 1.225
7.865 -0.917 4.338
```

E (MP2020) in eV per atom: -8.33
Calculated volume in Å³/cell: 528
Total DFT energy (no corrections) in eV per formula unit: -96.48
Calculated density in g cm⁻³: 5.527
Total magnetic moment in μB per formula unit: 20.99
ΔH_f (0 K) in meV per atom: -1726

=====

Compound: GdCu5Se4
Source: Materials Project
Functional: GGA-PBE
Structure: optimized geometry

```
GdCu5Se4
1.0
2.025 7.426 0.000
-2.025 7.426 0.000
0.000 3.096 6.186
Gd Cu Se
1 5 4
Cartesian
0.000 8.974 3.093
0.000 0.000 0.000
0.000 14.684 5.299
0.000 5.720 2.201
0.000 3.265 0.886
0.000 12.229 3.984
0.000 3.557 3.406
0.000 9.308 0.235
0.000 14.391 2.780
0.000 8.641 5.950
```

E (MP2020) in eV per atom: -5.50
Calculated volume in Å³/cell: 186
Total DFT energy (no corrections) in eV per formula unit: -53.07
Calculated density in g cm⁻³: 7.057
Total magnetic moment in μB per formula unit: 7.00
ΔH_f (0 K) in meV per atom: -640

=====

Compound: Gd3CuSiSe7
Source: Materials Project
Functional: GGA-PBE
Structure: optimized geometry

```
Gd3CuSiSe7
1.0
5.230 -9.058 0.000
5.230 9.058 0.000
0.000 0.000 6.031
Gd Cu Si Se
6 2 2 14
Cartesian
7.419 1.168 4.432
4.721 -5.840 1.417
5.738 5.840 4.432
7.927 -2.049 1.417
2.532 2.049 4.432
3.041 -1.168 1.417
0.000 0.000 4.269
0.000 0.000 1.253
5.230 -3.019 4.976
5.230 3.019 1.960
3.581 4.341 2.881
5.230 -3.019 2.706
2.212 -0.859 4.300
3.261 -3.786 5.897
5.592 6.713 1.284
8.610 -1.486 4.300
8.247 0.859 1.284
6.878 -4.341 5.897
1.850 1.486 1.284
4.867 -6.713 4.300
7.199 3.786 2.881
5.230 3.019 5.721
4.909 0.931 2.881
5.550 -0.931 5.897
```

E (MP2020) in eV per atom: -7.97
Calculated volume in Å³/cell: 571
Total DFT energy (no corrections) in eV per formula unit: -92.30
Calculated density in g cm⁻³: 6.487
ΔH_f (0 K) in meV per atom: -1615

=====

Compound: GdCuSi
Source: Materials Project
Functional: GGA-PBE
Structure: optimized geometry

```
GdCuSi
1.0
2.042 -3.537 0.000
2.042 3.537 0.000
0.000 0.000 4.033
Gd Cu Si
1 1 1
Cartesian
2.042 -1.179 0.000
0.000 0.000 2.017
2.042 1.179 2.017
```

E (MP2020) in eV per atom: -8.47
Calculated volume in Å³/cell: 58
Total DFT energy (no corrections) in eV per formula unit: -25.49
Calculated density in g cm⁻³: 7.092
Total magnetic moment in μB per formula unit: 7.36
ΔH_f (0 K) in meV per atom: -606